# 1
The following is a PBE calculation of a geometry-optimized Bi2Ru2O7 structure, from Materials Project.

a b c (Å): 7.349 7.349 7.349
angles (deg): 60.00 60.00 60.00
Positions (direct):
1 O 0.546 0.954 0.954
2 O 0.546 0.954 0.546
3 O 0.704 0.296 0.704
4 Ru 0.625 0.625 0.125
5 O 0.296 0.704 0.296
6 Bi 0.125 0.125 0.625
7 O 0.954 0.546 0.954
8 O 0.000 0.000 0.000
9 Ru 0.125 0.625 0.625
10 Ru 0.625 0.625 0.625
11 O 0.954 0.546 0.546
12 Bi 0.625 0.125 0.125
13 O 0.704 0.704 0.296
14 Bi 0.125 0.125 0.125
15 O 0.296 0.296 0.704
16 O 0.704 0.296 0.296
17 O 0.954 0.954 0.546
18 Ru 0.625 0.125 0.625
19 O 0.546 0.546 0.954
20 O 0.296 0.704 0.704
21 Bi 0.125 0.625 0.125
22 O 0.250 0.250 0.250

Computed properties:
**Symmetry**: No. 227

=====

# 2
The following is a PBE calculation of a geometry-optimized SmBiRu2O7 structure, from Materials Project.

a b c (Å): 7.339 7.339 7.339
angles (deg): 89.96 59.60 119.55
Positions (direct):
1 O 0.998 0.794 0.799
2 O 0.498 0.546 0.547
3 O 0.500 0.955 0.545
4 O 0.500 0.246 0.254
5 Ru 0.250 0.875 0.875
6 O 0.000 0.504 0.496
7 O 0.000 0.795 0.205
8 O 0.907 0.956 0.547
9 O 0.000 0.203 0.797
10 O 0.500 0.547 0.953
11 Ru 0.750 0.875 0.875
12 Sm 0.750 0.375 0.375
13 O 0.502 0.956 0.951
14 O 0.407 0.204 0.799
15 Bi 0.250 0.375 0.375
16 Bi 0.750 0.375 0.875
17 Sm 0.250 0.875 0.375
18 O 0.593 0.794 0.203
19 Ru 0.750 0.875 0.375
20 O 0.093 0.546 0.951
21 O 0.002 0.204 0.203
22 Ru 0.250 0.375 0.875

Computed properties:
**Total moment**: 0.2 μB per formula unit
**Symmetry**: No. 74

=====

# 3
The following is a PBE calculation of a geometry-optimized SmBi3Ru4O14 structure, from Materials Project.

a b c (Å): 7.373 7.373 7.373
angles (deg): 59.56 59.56 59.56
Positions (direct):
1 O 0.079 0.672 0.079
2 O 0.328 0.921 0.921
3 O 0.329 0.329 0.924
4 O 0.671 0.076 0.671
5 O 0.921 0.328 0.921
6 Bi 0.500 0.500 0.000
7 O 0.924 0.329 0.329
8 O 0.671 0.671 0.076
9 O 0.076 0.671 0.671
10 O 0.079 0.079 0.672
11 O 0.921 0.921 0.328
12 O 0.623 0.623 0.623
13 O 0.329 0.924 0.329
14 O 0.377 0.377 0.377
15 Ru 0.000 0.000 0.000
16 Ru 0.000 0.000 0.500
17 O 0.672 0.079 0.079
18 Sm 0.500 0.500 0.500
19 Bi 0.000 0.500 0.500
20 Bi 0.500 0.000 0.500
21 Ru 0.000 0.500 0.000
22 Ru 0.500 0.000 0.000

Computed properties:
**Total moment**: 0.0 μB per formula unit
**Symmetry**: No. 166

=====

# 4
The following is a PBE calculation of a geometry-optimized YBi3Ru4O14 structure, from Materials Project.

a b c (Å): 7.351 7.351 7.351
angles (deg): 59.60 59.60 59.60
Positions (direct):
1 Y 0.500 0.500 0.500
2 O 0.670 0.078 0.670
3 O 0.080 0.080 0.671
4 O 0.330 0.330 0.922
5 Ru 0.000 0.500 0.000
6 O 0.671 0.080 0.080
7 O 0.620 0.620 0.620
8 Ru 0.000 0.000 0.000
9 Bi 0.500 0.000 0.500
10 O 0.670 0.670 0.078
11 O 0.922 0.330 0.330
12 Bi 0.500 0.500 0.000
13 O 0.078 0.670 0.670
14 O 0.920 0.920 0.329
15 O 0.380 0.380 0.380
16 Ru 0.000 0.000 0.500
17 O 0.330 0.922 0.330
18 Ru 0.500 0.000 0.000
19 O 0.920 0.329 0.920
20 Bi 0.000 0.500 0.500
21 O 0.080 0.671 0.080
22 O 0.329 0.920 0.920

Computed properties:
**Total moment**: 0.0 μB per formula unit
**Symmetry**: No. 166

=====

# 5
The following is a PBE calculation of a geometry-optimized Bi2S3O12 structure, from Materials Project.

a b c (Å): 9.433 9.433 9.433
angles (deg): 60.27 60.27 60.27
Positions (direct):
1 S 0.955 0.545 0.250
2 Bi 0.139 0.139 0.139
3 Bi 0.361 0.361 0.361
4 O 0.507 0.311 0.092
5 O 0.058 0.285 0.893
6 O 0.092 0.507 0.311
7 O 0.189 0.993 0.408
8 Bi 0.639 0.639 0.639
9 O 0.393 0.785 0.558
10 O 0.107 0.942 0.715
11 O 0.993 0.408 0.189
12 O 0.311 0.092 0.507
13 O 0.285 0.893 0.058
14 O 0.689 0.908 0.493
15 O 0.592 0.811 0.007
16 O 0.785 0.558 0.393
17 O 0.558 0.393 0.785
18 O 0.215 0.442 0.607
19 O 0.007 0.592 0.811
20 Bi 0.861 0.861 0.861
21 O 0.811 0.007 0.592
22 S 0.750 0.045 0.455
23 O 0.908 0.493 0.689
24 S 0.045 0.455 0.750
25 O 0.715 0.107 0.942
26 S 0.455 0.750 0.045
27 S 0.545 0.250 0.955
28 O 0.893 0.058 0.285
29 S 0.250 0.955 0.545
30 O 0.442 0.607 0.215
31 O 0.408 0.189 0.993
32 O 0.607 0.215 0.442
33 O 0.942 0.715 0.107
34 O 0.493 0.689 0.908

Computed properties:
**ΔE to the lowest computed polymorph**: 18 kJ/mol of formula units
**Symmetry**: No. 167

=====

# 6
The following is a PBE calculation of a geometry-optimized Bi2SO2 structure, from Materials Project.

a b c (Å): 3.875 3.909 12.096
angles (deg): 90.00 90.00 90.00
Positions (direct):
1 O 0.000 0.441 0.749
2 Bi 0.500 0.420 0.856
3 Bi 0.000 0.920 0.644
4 O 0.500 0.941 0.751
5 Bi 0.000 0.080 0.356
6 O 0.500 0.059 0.249
7 Bi 0.500 0.580 0.144
8 O 0.000 0.559 0.251
9 S 0.500 0.500 0.500
10 S 0.000 0.000 0.000

Computed properties:
**Symmetry**: No. 58

=====

no.,uncorrected energy (eV/atom),energy of formation from the pure elements (eV per formula unit)
1,-6.66,-17.09
2,-7.23,-22.55
3,-6.94,-39.59
4,-7.03,-39.74
5,-6.05,-31.51
6,-5.33,-6.69